i.
Here is a relaxed Ba2MgTiO4 crystal from Materials Project. Energies are from GGA-PBE.

Results
Spin magnetization = 0.0 μB/f.u.

Cell lengths 3.9861, 3.9694, 10.9662 Å; angles 90.00, 90.00, 90.00 degrees
Atoms (fractional coordinates):
Ba  0.9949  0.0000  0.9305
O  0.4930  0.0000  0.7500
Mg  0.4952  0.0000  0.2500
Ba  0.9949  0.0000  0.5695
O  0.9932  0.5000  0.7500
O  0.4937  0.5000  0.5682
O  0.4937  0.5000  0.9318
Ti  0.4954  0.5000  0.7500

=====

ii.
Here is a relaxed Ba2MgTiO4 crystal from Materials Project. Energies are from GGA-PBE.

Results
Spin magnetization = 0.5 μB/f.u.

Cell lengths 3.7922, 3.7882, 11.1729 Å; angles 90.04, 90.04, 90.04 degrees
Atoms (fractional coordinates):
Mg  0.8368  0.8442  0.8302
Ti  0.3366  0.3440  0.6976
O  0.3347  0.3428  0.5341
Ba  0.3357  0.3440  0.0726
O  0.8366  0.3441  0.7545
O  0.3365  0.8442  0.7554
Ba  0.8343  0.8422  0.4505
O  0.8362  0.8445  0.0051

=====

iii.
Here is a relaxed Ba2MgTiO4 crystal from Materials Project. Energies are from GGA-PBE.

Results
Spin magnetization = 0.0 μB/f.u.

Cell lengths 3.9475, 3.9475, 10.4504 Å; angles 90.00, 90.00, 90.00 degrees
Atoms (fractional coordinates):
O  0.4942  0.5000  0.5539
O  0.4958  0.0000  0.7500
O  0.9952  0.5000  0.7500
Ba  0.9916  0.0000  0.0455
Ba  0.9916  0.0000  0.4545
Mg  0.9959  0.0000  0.7500
Ti  0.4954  0.5000  0.7500
O  0.4942  0.5000  0.9461

=====

It is ii that is most stable; the runner-up trails by 0.127 eV/atom.

=====

i.
Here is a relaxed Ba3MgTi2O7 crystal from Materials Project. Energies are from GGA-PBE.

Results
Spin magnetization = 0.0 μB/f.u.

Cell lengths 5.8601, 10.6362, 7.1547 Å; angles 96.90, 34.11, 105.84 degrees
Atoms (fractional coordinates):
O  0.8024  0.8071  0.8735
O  0.3530  0.2485  0.1492
O  0.1879  0.1932  0.6806
Ba  0.9073  0.0000  0.3050
O  0.1596  0.6099  0.4825
Ti  0.1551  0.7705  0.4193
Mg  0.9132  0.0001  0.7942
O  0.3872  0.0002  0.2923
Ti  0.6139  0.2297  0.1899
O  0.8568  0.7517  0.3972
O  0.9402  0.3901  0.0924
Ba  0.9920  0.6308  0.9687
Ba  0.7301  0.3692  0.5997

=====

ii.
Here is a relaxed Ba3MgTi2O7 crystal from Materials Project. Energies are from GGA-PBE.

Results
Spin magnetization = 0.1 μB/f.u.

Cell lengths 4.0400, 12.5205, 5.6990 Å; angles 90.20, 44.77, 90.47 degrees
Atoms (fractional coordinates):
Ba  0.4540  0.9806  0.8071
O  0.4536  0.6624  0.3074
O  0.9856  0.1577  0.3028
O  0.4683  0.9896  0.3046
O  0.9812  0.1609  0.8001
O  0.9949  0.4772  0.8082
O  0.9571  0.8213  0.3081
Ba  0.4492  0.6586  0.8088
Ti  0.4493  0.8142  0.3087
Ba  0.4592  0.3174  0.8057
Mg  0.4617  0.4980  0.3075
Ti  0.4466  0.1390  0.3086
O  0.9549  0.8239  0.8067

=====

It is ii that is most stable; the runner-up trails by 0.071 eV/atom.

=====

i.
Here is a relaxed BaMg6TiO8 crystal from Materials Project. Energies are from GGA-PBE.

Results
Spin magnetization = 1.6 μB/f.u.

Cell lengths 8.8965, 4.7018, 4.7018 Å; angles 90.00, 90.00, 90.00 degrees
Atoms (fractional coordinates):
O  0.2184  0.0000  0.0000
O  0.5000  0.0000  0.5000
O  0.2474  0.5000  0.5000
O  0.5000  0.5000  0.0000
Mg  0.2371  0.5000  0.0000
Ti  0.0000  0.0000  0.0000
O  0.7816  0.0000  0.0000
Mg  0.0000  0.5000  0.5000
Mg  0.5000  0.5000  0.5000
Mg  0.7629  0.5000  0.0000
O  0.0000  0.0000  0.5000
Mg  0.7629  0.0000  0.5000
Mg  0.2371  0.0000  0.5000
O  0.7526  0.5000  0.5000
O  0.0000  0.5000  0.0000
Ba  0.5000  0.0000  0.0000

=====

ii.
Here is a relaxed BaMg6TiO8 crystal from Materials Project. Energies are from GGA-PBE.

Results
Spin magnetization = 1.9 μB/f.u.

Cell lengths 8.9281, 4.6457, 4.6457 Å; angles 90.00, 90.00, 90.00 degrees
Atoms (fractional coordinates):
Mg  0.5000  0.0000  0.0000
Mg  0.5000  0.5000  0.5000
Mg  0.7309  0.5000  0.0000
Mg  0.7309  0.0000  0.5000
Ba  0.0000  0.5000  0.5000
O  0.2577  0.0000  0.0000
Mg  0.2691  0.5000  0.0000
Mg  0.2691  0.0000  0.5000
O  0.7423  0.0000  0.0000
O  0.5000  0.0000  0.5000
Ti  0.0000  0.0000  0.0000
O  0.2831  0.5000  0.5000
O  0.0000  0.5000  0.0000
O  0.7169  0.5000  0.5000
O  0.5000  0.5000  0.0000
O  0.0000  0.0000  0.5000

=====

It is ii that is most stable; the runner-up trails by 0.020 eV/atom.

=====

i.
Here is a relaxed BaMg6ZnO8 crystal from Materials Project. Energies are from GGA-PBE.

Results
Spin magnetization = 0.0 μB/f.u.

Cell lengths 8.7373, 4.7064, 4.7064 Å; angles 90.00, 90.00, 90.00 degrees
Atoms (fractional coordinates):
Mg  0.0000  0.5000  0.5000
O  0.0000  0.5000  0.0000
Mg  0.2334  0.5000  0.0000
O  0.0000  0.0000  0.5000
Mg  0.5000  0.5000  0.5000
Mg  0.2334  0.0000  0.5000
Ba  0.5000  0.0000  0.0000
O  0.5000  0.0000  0.5000
O  0.7825  0.0000  0.0000
Mg  0.7666  0.5000  0.0000
O  0.5000  0.5000  0.0000
Mg  0.7666  0.0000  0.5000
O  0.7520  0.5000  0.5000
O  0.2480  0.5000  0.5000
O  0.2175  0.0000  0.0000
Zn  0.0000  0.0000  0.0000

=====

ii.
Here is a relaxed BaMg6ZnO8 crystal from Materials Project. Energies are from GGA-PBE.

Results
Spin magnetization = 0.0 μB/f.u.

Cell lengths 8.8447, 4.6584, 4.6584 Å; angles 90.00, 90.00, 90.00 degrees
Atoms (fractional coordinates):
Mg  0.2649  0.5000  0.0000
Zn  0.0000  0.0000  0.0000
O  0.2544  0.0000  0.0000
Mg  0.2649  0.0000  0.5000
O  0.0000  0.5000  0.0000
O  0.0000  0.0000  0.5000
O  0.7175  0.5000  0.5000
O  0.5000  0.0000  0.5000
O  0.7456  0.0000  0.0000
Mg  0.7351  0.5000  0.0000
Ba  0.0000  0.5000  0.5000
Mg  0.5000  0.0000  0.0000
Mg  0.5000  0.5000  0.5000
Mg  0.7351  0.0000  0.5000
O  0.5000  0.5000  0.0000
O  0.2825  0.5000  0.5000

=====

It is i that is most stable; the runner-up trails by 0.005 eV/atom.

=====

i.
Here is a relaxed Ba6MgTi2S10 crystal from Materials Project. Energies are from GGA-PBE.

Results
Spin magnetization = 0.0 μB/f.u.

Cell lengths 8.9683, 8.4961, 9.1507 Å; angles 117.02, 116.95, 86.37 degrees
Atoms (fractional coordinates):
Ti  0.7412  0.2710  0.4986
Ti  0.2378  0.7341  0.4784
Ba  0.1832  0.1963  0.4274
S  0.2323  0.0112  0.7082
Ba  0.8337  0.6713  0.9905
S  0.0131  0.5042  0.3050
Ba  0.8525  0.8302  0.5473
S  0.2508  0.7769  0.2599
S  0.5508  0.5553  0.1380
S  0.7137  0.2247  0.7128
Mg  0.4898  0.5491  0.3693
Ba  0.1286  0.3159  0.9724
S  0.9904  0.9927  0.9836
S  0.9889  0.4888  0.6856
Ba  0.6536  0.1679  0.9934
Ba  0.3299  0.8146  0.9827
S  0.7996  0.0224  0.2924
S  0.5058  0.7030  0.6829
S  0.4497  0.2329  0.2715

=====

ii.
Here is a relaxed Ba6MgTi2S10 crystal from Materials Project. Energies are from GGA-PBE.

Results
Spin magnetization = 0.0 μB/f.u.

Cell lengths 9.8588, 8.4629, 9.3676 Å; angles 117.68, 122.49, 88.61 degrees
Atoms (fractional coordinates):
Ba  0.6701  0.1858  0.0000
Ba  0.2696  0.8687  0.0000
S  0.5217  0.6927  0.7004
S  0.0288  0.5037  0.2968
Ti  0.2676  0.7524  0.5164
S  0.8213  0.9922  0.2996
S  0.2441  0.0129  0.7232
Ba  0.9068  0.6636  0.0000
S  0.3043  0.8042  0.3179
Mg  0.5875  0.7268  0.0000
Ba  0.6888  0.7506  0.5015
S  0.5209  0.2897  0.2768
Ti  0.7512  0.2360  0.4836
S  0.7320  0.2069  0.7032
S  0.9864  0.4863  0.6821
Ba  0.1873  0.2490  0.4985
Ba  0.1612  0.3314  0.0000
S  0.9903  0.0109  0.0000
S  0.4536  0.5097  0.0000

=====

It is i that is most stable; the runner-up trails by 0.055 eV/atom.

=====

i.
Here is a relaxed BaMg6Si crystal from Materials Project. Energies are from GGA-PBE.

Results
Spin magnetization = 0.0 μB/f.u.

Cell lengths 7.1454, 7.1454, 4.8656 Å; angles 90.00, 90.00, 119.50 degrees
Atoms (fractional coordinates):
Mg  0.8587  0.7370  0.0000
Si  0.8690  0.1310  0.0000
Ba  0.6745  0.3255  0.5000
Mg  0.6987  0.8585  0.5000
Mg  0.3344  0.6656  0.0000
Mg  0.2630  0.1413  0.0000
Mg  0.1415  0.3013  0.5000
Mg  0.1602  0.8398  0.5000

=====

ii.
Here is a relaxed BaMg6Si crystal from Materials Project. Energies are from GGA-PBE.

Results
Spin magnetization = 0.0 μB/f.u.

Cell lengths 4.9505, 6.0875, 14.2706 Å; angles 90.00, 90.00, 90.00 degrees
Atoms (fractional coordinates):
Mg  0.5000  0.7576  0.4384
Mg  0.0000  0.0000  0.8710
Mg  0.5000  0.7424  0.9384
Mg  0.5000  0.2576  0.9384
Si  0.5000  0.5000  0.6010
Mg  0.0000  0.0000  0.3031
Si  0.5000  0.0000  0.1010
Mg  0.0000  0.2447  0.0730
Ba  0.5000  0.5000  0.2022
Mg  0.5000  0.2424  0.4384
Ba  0.5000  0.0000  0.7022
Mg  0.0000  0.5000  0.3710
Mg  0.0000  0.7447  0.5730
Mg  0.0000  0.2553  0.5730
Mg  0.0000  0.5000  0.8031
Mg  0.0000  0.7553  0.0730

=====

It is ii that is most stable; the runner-up trails by 0.053 eV/atom.

=====

i.
Here is a relaxed BaSrMg6 crystal from Materials Project. Energies are from GGA-PBE.

Results
Spin magnetization = 0.0 μB/f.u.

Cell lengths 5.3859, 7.2744, 12.8316 Å; angles 90.00, 90.00, 90.00 degrees
Atoms (fractional coordinates):
Mg  0.0000  0.0000  0.3532
Mg  0.5000  0.2477  0.9198
Ba  0.5000  0.0000  0.6681
Mg  0.0000  0.2443  0.0582
Mg  0.0000  0.5000  0.3545
Mg  0.0000  0.7557  0.0582
Ba  0.5000  0.5000  0.1681
Mg  0.0000  0.7443  0.5582
Mg  0.5000  0.7523  0.9198
Mg  0.5000  0.2523  0.4198
Mg  0.0000  0.5000  0.8532
Mg  0.5000  0.7477  0.4198
Sr  0.5000  0.0000  0.1681
Sr  0.5000  0.5000  0.6681
Mg  0.0000  0.0000  0.8545
Mg  0.0000  0.2557  0.5582

=====

ii.
Here is a relaxed BaSrMg6 crystal from Materials Project. Energies are from GGA-PBE.

Results
Spin magnetization = 0.0 μB/f.u.

Cell lengths 5.5143, 7.2325, 12.3645 Å; angles 90.00, 90.00, 90.00 degrees
Atoms (fractional coordinates):
Mg  0.0000  0.7316  0.5853
Mg  0.5000  0.2421  0.4154
Mg  0.5000  0.2579  0.9154
Mg  0.5000  0.0000  0.1615
Mg  0.0000  0.7684  0.0853
Ba  0.5000  0.5000  0.1553
Mg  0.5000  0.7579  0.4154
Mg  0.5000  0.7421  0.9154
Ba  0.5000  0.0000  0.6553
Mg  0.0000  0.5000  0.8360
Mg  0.5000  0.5000  0.6615
Mg  0.0000  0.2316  0.0853
Mg  0.0000  0.0000  0.3360
Sr  0.0000  0.0000  0.8460
Sr  0.0000  0.5000  0.3460
Mg  0.0000  0.2684  0.5853

=====

It is i that is most stable; the runner-up trails by 0.006 eV/atom.

=====

i.
Here is a relaxed BaMg14V crystal from Materials Project. Energies are from GGA-PBE.

Results
Spin magnetization = 3.3 μB/f.u.

Cell lengths 6.5758, 6.4794, 10.5916 Å; angles 90.00, 90.00, 119.52 degrees
Atoms (fractional coordinates):
V  0.1842  0.3421  0.1250
Mg  0.6659  0.8394  0.6250
Mg  0.1608  0.3304  0.6250
Ba  0.1464  0.8232  0.1250
Mg  0.3407  0.1798  0.3860
Mg  0.6485  0.8182  0.1250
Mg  0.6659  0.3264  0.6250
Mg  0.8261  0.6630  0.3963
Mg  0.1695  0.8347  0.6250
Mg  0.6485  0.3304  0.1250
Mg  0.3407  0.6608  0.3860
Mg  0.3407  0.1798  0.8640
Mg  0.3407  0.6608  0.8640
Mg  0.8477  0.1739  0.8899
Mg  0.8261  0.6630  0.8537
Mg  0.8477  0.1739  0.3601

=====

ii.
Here is a relaxed BaMg14V crystal from Materials Project. Energies are from GGA-PBE.

Results
Spin magnetization = 2.9 μB/f.u.

Cell lengths 6.6000, 6.6000, 10.3963 Å; angles 90.00, 90.00, 120.00 degrees
Atoms (fractional coordinates):
Mg  0.6687  0.8313  0.1250
V  0.1667  0.3333  0.1250
Mg  0.3363  0.6726  0.3553
Mg  0.3363  0.1637  0.3553
Mg  0.3363  0.6726  0.8947
Mg  0.1627  0.8313  0.1250
Mg  0.8274  0.1637  0.3553
Mg  0.1811  0.8406  0.6250
Mg  0.6687  0.3373  0.1250
Mg  0.8333  0.6667  0.8680
Mg  0.3363  0.1637  0.8947
Mg  0.6594  0.8406  0.6250
Ba  0.1667  0.3333  0.6250
Mg  0.6594  0.3189  0.6250
Mg  0.8333  0.6667  0.3820
Mg  0.8274  0.1637  0.8947

=====

It is i that is most stable; the runner-up trails by 0.008 eV/atom.

=====

i.
Here is a relaxed BaMg6V crystal from Materials Project. Energies are from GGA-PBE.

Results
Spin magnetization = 3.5 μB/f.u.

Cell lengths 5.2832, 6.7725, 11.6880 Å; angles 90.00, 90.00, 90.00 degrees
Atoms (fractional coordinates):
V  0.5000  0.0000  0.8378
Ba  0.5000  0.0000  0.3338
Mg  0.0000  0.2789  0.4185
Mg  0.0000  0.0000  0.6755
Ba  0.5000  0.5000  0.8338
Mg  0.5000  0.7457  0.5813
Mg  0.0000  0.7789  0.9185
V  0.5000  0.5000  0.3378
Mg  0.0000  0.0000  0.1534
Mg  0.0000  0.7211  0.4185
Mg  0.5000  0.7543  0.0813
Mg  0.5000  0.2543  0.5813
Mg  0.0000  0.5000  0.1755
Mg  0.5000  0.2457  0.0813
Mg  0.0000  0.2211  0.9185
Mg  0.0000  0.5000  0.6534

=====

ii.
Here is a relaxed BaMg6V crystal from Materials Project. Energies are from GGA-PBE.

Results
Spin magnetization = 3.2 μB/f.u.

Cell lengths 5.2615, 6.7908, 11.8581 Å; angles 90.00, 90.00, 90.00 degrees
Atoms (fractional coordinates):
Ba  0.5000  0.0000  0.6679
Mg  0.0000  0.0000  0.3338
Mg  0.0000  0.2738  0.5737
V  0.0000  0.5000  0.3529
Mg  0.5000  0.5000  0.6661
V  0.0000  0.0000  0.8529
Mg  0.5000  0.7313  0.4159
Mg  0.5000  0.7687  0.9159
Mg  0.0000  0.5000  0.8338
Mg  0.5000  0.2687  0.4159
Mg  0.0000  0.2262  0.0737
Mg  0.0000  0.7738  0.0737
Mg  0.5000  0.0000  0.1661
Ba  0.5000  0.5000  0.1679
Mg  0.0000  0.7262  0.5737
Mg  0.5000  0.2313  0.9159

=====

It is i that is most stable; the runner-up trails by 0.006 eV/atom.